No. 1
DFT (PBE) results for crystalline BaSrAl20Cu2O34 at its relaxed geometry.

Computed properties:
E_form (eV per atom): -3.261
Space group: P3m1 (156)
Total moment (μB per formula unit): 2.00

Cell: 5.6708 5.6708 22.8230 Å, 90.00 90.00 120.00°
Closest atoms and distances in Å follow each position.
Positions (direct):
Ba: 0.0000 0.0000 0.0000  6 O 2.79-2.83
Sr: 0.6667 0.3333 0.4992  6 O 2.72-2.80
Al: 0.0000 0.0000 0.4244  4 O 1.72-1.79
Al: 0.0000 0.0000 0.5748  4 O 1.71-1.78
Al: 0.0000 0.0000 0.7289  4 O 1.82-1.83
Al: 0.0048 0.5024 0.3592  6 O 1.87-2.01
Al: 0.1650 0.3300 0.1461  6 O 1.84-2.05
Al: 0.1650 0.8350 0.1461  6 O 1.84-2.05
Al: 0.1693 0.3386 0.8577  6 O 1.87-2.01
Al: 0.1693 0.8307 0.8577  6 O 1.87-2.01
Al: 0.3333 0.6667 0.2538  6 O 1.89-1.95
Al: 0.3333 0.6667 0.7523  6 O 1.89-1.95
Al: 0.4976 0.5024 0.3592  6 O 1.87-2.01
Al: 0.4976 0.9952 0.3592  6 O 1.87-2.01
Al: 0.5021 0.0042 0.6446  4 O 1.84-1.90
Al: 0.5021 0.4979 0.6446  4 O 1.84-1.90
Al: 0.6614 0.8307 0.8577  6 O 1.87-2.01
Al: 0.6667 0.3333 0.0757  4 O 1.73-1.78
Al: 0.6667 0.3333 0.2299  4 O 1.82-1.83
Al: 0.6667 0.3333 0.9236  4 O 1.74-1.78
Al: 0.6700 0.8350 0.1461  6 O 1.84-2.05
Al: 0.9958 0.4979 0.6446  4 O 1.84-1.90
Cu: 0.0000 0.0000 0.2773  4 O 1.94-2.03
Cu: 0.6667 0.3333 0.7766  4 O 1.94-2.04
O: 0.0000 0.0000 0.1885  3 Al 1.89, 1 Cu 2.03
O: 0.0000 0.0000 0.4999  2 Al 1.71-1.72
O: 0.0000 0.0000 0.8085  4 Al 1.82-2.01
O: 0.0175 0.5088 0.2022  4 Al 1.83-2.05
O: 0.0376 0.5188 0.8056  3 Al 1.89-1.94, 1 Cu 1.94
O: 0.1750 0.3500 0.7010  2 Al 1.83-1.95
O: 0.1750 0.8250 0.7010  2 Al 1.83-1.95
O: 0.1851 0.3703 0.3068  3 Al 1.89-1.95, 1 Cu 1.94
O: 0.1851 0.8149 0.3068  3 Al 1.89-1.95, 1 Cu 1.94
O: 0.3219 0.1609 0.8994  3 Al 1.78-1.88
O: 0.3266 0.1633 0.1023  3 Al 1.78-1.90
O: 0.3333 0.6667 0.1106  3 Al 1.84
O: 0.3333 0.6667 0.4002  3 Al 1.87
O: 0.3333 0.6667 0.6099  3 Al 1.84
O: 0.3333 0.6667 0.8993  3 Al 1.87
O: 0.3430 0.1715 0.6001  3 Al 1.78-1.90
O: 0.3478 0.1739 0.4016  3 Al 1.79-1.88
O: 0.4812 0.5188 0.8056  3 Al 1.89-1.94, 1 Cu 1.94
O: 0.4812 0.9624 0.8056  3 Al 1.89-1.94, 1 Cu 1.94
O: 0.4912 0.5088 0.2022  4 Al 1.83-2.05
O: 0.4912 0.9825 0.2022  4 Al 1.83-2.05
O: 0.6297 0.8149 0.3068  3 Al 1.89-1.95, 1 Cu 1.94
O: 0.6500 0.8250 0.7010  2 Al 1.83-1.95
O: 0.6667 0.3333 0.9999  2 Al 1.73-1.74
O: 0.6667 0.3333 0.3096  4 Al 1.82-2.01
O: 0.6667 0.3333 0.6874  3 Al 1.89, 1 Cu 2.04
O: 0.8261 0.1739 0.4016  3 Al 1.79-1.88
O: 0.8261 0.6522 0.4016  3 Al 1.79-1.88
O: 0.8285 0.1715 0.6001  3 Al 1.78-1.90
O: 0.8285 0.6570 0.6001  3 Al 1.78-1.90
O: 0.8367 0.1633 0.1023  3 Al 1.78-1.90
O: 0.8367 0.6734 0.1023  3 Al 1.78-1.90
O: 0.8391 0.1609 0.8994  3 Al 1.78-1.88
O: 0.8391 0.6781 0.8994  3 Al 1.78-1.88

***

No. 2
DFT (PBE) results for crystalline Ni21Ge2B6 at its relaxed geometry.

Computed properties:
E_form (eV per atom): -0.282
Space group: Fm-3m (225)

Cell: 7.3974 7.3974 7.3974 Å, 60.00 60.00 60.00°
Closest atoms and distances in Å follow each position.
Positions (direct):
Ni: 0.0000 0.0000 0.0000  12 Ni 2.49
Ni: 0.0000 0.0000 0.3364  2 B 2.07
Ni: 0.0000 0.0000 0.6636  2 B 2.07
Ni: 0.0000 0.3364 0.0000  2 B 2.07
Ni: 0.0000 0.3364 0.6636  2 B 2.07
Ni: 0.0000 0.6636 0.0000  2 B 2.07
Ni: 0.0000 0.6636 0.3364  2 B 2.07
Ni: 0.1439 0.6187 0.6187  3 B 2.09
Ni: 0.3364 0.0000 0.0000  2 B 2.07
Ni: 0.3364 0.0000 0.6636  2 B 2.07
Ni: 0.3364 0.6636 0.0000  2 B 2.07
Ni: 0.3813 0.3813 0.3813  3 B 2.09
Ni: 0.3813 0.3813 0.8561  3 B 2.09
Ni: 0.3813 0.8561 0.3813  3 B 2.09
Ni: 0.6187 0.1439 0.6187  3 B 2.09
Ni: 0.6187 0.6187 0.1439  3 B 2.09
Ni: 0.6187 0.6187 0.6187  3 B 2.09
Ni: 0.6636 0.0000 0.0000  2 B 2.07
Ni: 0.6636 0.0000 0.3364  2 B 2.07
Ni: 0.6636 0.3364 0.0000  2 B 2.07
Ni: 0.8561 0.3813 0.3813  3 B 2.09
Ge: 0.2500 0.2500 0.2500  4 Ni 2.38
Ge: 0.7500 0.7500 0.7500  4 Ni 2.38
B: 0.2732 0.2732 0.7268  8 Ni 2.07-2.09
B: 0.2732 0.7268 0.2732  8 Ni 2.07-2.09
B: 0.2732 0.7268 0.7268  8 Ni 2.07-2.09
B: 0.7268 0.2732 0.2732  8 Ni 2.07-2.09
B: 0.7268 0.2732 0.7268  8 Ni 2.07-2.09
B: 0.7268 0.7268 0.2732  8 Ni 2.07-2.09

***

No. 3
DFT (PBE) results for crystalline Cs2Li14Pb3O14 at its relaxed geometry.

Computed properties:
E_form (eV per atom): -1.902
Space group: Immm (71)
Total moment (μB per formula unit): 0.00

Cell: 8.5975 8.5975 8.5975 Å, 129.03 123.12 79.86°
Closest atoms and distances in Å follow each position.
Positions (direct):
Cs: 0.0000 0.2371 0.2371  6 O 3.17-3.29, 6 Li 3.37-3.41, 1 Cs 3.51
Cs: 0.0000 0.7629 0.7629  6 O 3.17-3.29, 6 Li 3.37-3.41, 1 Cs 3.51
Li: 0.0811 0.2279 0.8532  4 O 1.92-2.15
Li: 0.2116 0.1376 0.6201  4 O 1.97-2.19
Li: 0.2116 0.5915 0.0740  4 O 1.97-2.19
Li: 0.3427 0.5000 0.8427  4 O 1.99-2.00
Li: 0.3747 0.2279 0.1468  4 O 1.92-2.15
Li: 0.4825 0.4085 0.6201  4 O 1.97-2.19
Li: 0.4825 0.8624 0.0740  4 O 1.97-2.19
Li: 0.5175 0.1376 0.9260  4 O 1.97-2.19
Li: 0.5175 0.5915 0.3799  4 O 1.97-2.19
Li: 0.6253 0.7721 0.8532  4 O 1.92-2.15
Li: 0.6573 0.5000 0.1573  4 O 1.99-2.00
Li: 0.7884 0.4085 0.9260  4 O 1.97-2.19
Li: 0.7884 0.8624 0.3799  4 O 1.97-2.19
Li: 0.9189 0.7721 0.1468  4 O 1.92-2.15
Pb: 0.2290 0.7290 0.5000  6 O 2.18-2.41
Pb: 0.5000 0.0000 0.5000  6 O 2.19-2.25
Pb: 0.7710 0.2710 0.5000  6 O 2.18-2.41
O: 0.0886 0.3687 0.7198  4 Li 1.98-2.15, 1 Pb 2.21
O: 0.1900 0.8724 0.3176  3 Li 1.92-2.04
O: 0.2493 0.0416 0.7922  4 Li 1.97, 1 Pb 2.18
O: 0.2493 0.4571 0.2078  4 Li 1.97, 1 Pb 2.18
O: 0.3511 0.6313 0.7198  4 Li 1.98-2.15, 1 Pb 2.21
O: 0.4452 0.1276 0.3176  3 Li 1.92-2.04
O: 0.5000 0.2959 0.7959  6 Li 1.99-2.19, 1 Pb 2.19
O: 0.5000 0.7041 0.2041  6 Li 1.99-2.19, 1 Pb 2.19
O: 0.5548 0.8724 0.6824  3 Li 1.92-2.04
O: 0.6489 0.3687 0.2802  4 Li 1.98-2.15, 1 Pb 2.21
O: 0.7507 0.5429 0.7922  4 Li 1.97, 1 Pb 2.18
O: 0.7507 0.9584 0.2078  4 Li 1.97, 1 Pb 2.18
O: 0.8100 0.1276 0.6824  3 Li 1.92-2.04
O: 0.9114 0.6313 0.2802  4 Li 1.98-2.15, 1 Pb 2.21

***

What is the E_form in the first record?
-3.261 eV per atom

***

What is the E_form in the first record?
-3.261 eV per atom

***

The highest E_form belongs to which entry?
Ni21Ge2B6